CdF2 | PBE-GGA | relaxed

Geometry as extended XYZ:
```
12
Lattice="5.934 0.000 0.000 0.000 3.629 0.000 0.000 0.000 7.067" Properties=species:S:1:pos:R:3 pbc="T T T"
Cd 1.454 0.907 0.762
Cd 1.514 2.722 4.296
Cd 4.421 0.907 2.772
Cd 4.481 2.722 6.305
F 0.098 0.907 5.928
F 0.830 0.907 2.985
F 2.137 2.722 6.519
F 2.869 2.722 2.394
F 3.066 0.907 4.673
F 3.798 0.907 0.549
F 5.104 2.722 4.082
F 5.836 2.722 1.140
```

Results
Total energy: -3.704 eV per atom
Corrected total energy (MP2020 scheme): -48.15 eV/cell

CdHOF | PBE-GGA | relaxed

Geometry as extended XYZ:
```
8
Lattice="3.534 0.000 0.000 0.000 4.845 0.000 -0.008 0.000 5.628" Properties=species:S:1:pos:R:3 pbc="T T T"
Cd 0.874 0.000 1.313
Cd 2.652 2.422 4.315
H 0.876 4.504 4.347
H 2.650 2.081 1.281
O 0.883 3.716 4.954
O 2.643 1.294 0.674
F 0.883 1.091 3.409
F 2.644 3.513 2.219
```

Results
Total energy: -4.308 eV per atom
Corrected total energy (MP2020 scheme): -36.76 eV/cell
M_tot: 0.000 μB/f.u.

CdSn2H12O6F6 | PBE-GGA | relaxed

Geometry as extended XYZ:
```
27
Lattice="6.711 0.000 0.000 2.367 6.628 0.000 1.326 1.085 6.853" Properties=species:S:1:pos:R:3 pbc="T T T"
Cd 0.000 0.000 0.000
Sn 3.606 2.627 2.590
Sn 6.798 5.086 4.263
H 2.997 5.618 2.617
H 3.530 5.491 5.019
H 3.649 2.806 6.487
H 4.438 5.069 6.272
H 4.337 6.283 2.035
H 3.744 1.546 5.506
H 6.661 6.167 1.347
H 6.067 1.429 4.818
H 5.966 2.644 0.581
H 6.756 4.907 0.367
H 6.875 2.222 1.834
H 7.407 2.095 4.236
O 3.553 5.717 1.800
O 4.318 5.771 5.567
O 3.116 2.204 5.902
O 7.289 5.509 0.952
O 6.086 1.942 1.287
O 6.851 1.995 5.053
F 1.451 2.531 2.837
F 3.188 2.793 0.518
F 3.332 0.527 2.209
F 7.072 7.186 4.644
F 7.217 4.920 6.335
F 8.954 5.182 4.016
```

Results
Total energy: -4.804 eV per atom
Corrected total energy (MP2020 scheme): -136.59 eV/cell
M_tot: 0.001 μB/f.u.

RbHfCdF7 | PBE-GGA | relaxed

Geometry as extended XYZ:
```
20
Lattice="3.443 -5.653 0.000 3.443 5.653 0.000 0.000 0.000 8.616" Properties=species:S:1:pos:R:3 pbc="T T T"
Rb 0.000 0.000 0.000
Rb 0.000 0.000 4.308
Hf 3.443 2.176 6.462
Hf 3.443 -2.176 2.154
Cd 3.443 2.157 2.154
Cd 3.443 -2.157 6.462
F 1.210 1.739 2.154
F 1.428 1.608 6.462
F 3.443 2.295 4.452
F 3.443 2.295 8.473
F 1.210 -1.739 6.462
F 1.428 -1.608 2.154
F 3.443 0.138 6.462
F 3.443 -0.138 2.154
F 5.457 1.608 6.462
F 5.676 1.739 2.154
F 3.443 -2.295 0.144
F 3.443 -2.295 4.164
F 5.457 -1.608 2.154
F 5.676 -1.739 6.462
```

Results
Total energy: -5.702 eV per atom
Corrected total energy (MP2020 scheme): -120.51 eV/cell
M_tot: 0.000 μB/f.u.

KCdF3 | PBE-GGA | relaxed

Geometry as extended XYZ:
```
20
Lattice="6.289 0.000 0.000 0.000 8.802 0.000 0.000 0.000 6.187" Properties=species:S:1:pos:R:3 pbc="T T T"
K 0.261 2.200 0.051
K 2.884 6.601 3.144
K 3.405 2.200 3.042
K 6.029 6.601 6.136
Cd 0.000 0.000 3.093
Cd 0.000 4.401 3.093
Cd 3.145 0.000 0.000
Cd 3.145 4.401 0.000
F 0.171 6.601 2.596
F 1.304 4.772 4.914
F 1.304 8.431 4.914
F 1.841 0.371 1.821
F 1.841 4.030 1.821
F 2.974 2.200 5.689
F 3.316 6.601 0.497
F 4.449 4.772 4.366
F 4.449 8.431 4.366
F 4.985 0.371 1.272
F 4.985 4.030 1.272
F 6.118 2.200 3.591
```

Results
Total energy: -3.990 eV per atom
Corrected total energy (MP2020 scheme): -85.35 eV/cell

KCdF3 | PBE-GGA | relaxed

Geometry as extended XYZ:
```
5
Lattice="4.471 0.000 0.000 0.000 4.471 0.000 0.000 0.000 4.471" Properties=species:S:1:pos:R:3 pbc="T T T"
K 0.000 0.000 0.000
Cd 2.236 2.236 2.236
F 0.000 2.236 2.236
F 2.236 0.000 2.236
F 2.236 2.236 0.000
```

Results
Total energy: -3.965 eV per atom
Corrected total energy (MP2020 scheme): -21.21 eV/cell
M_tot: 0.000 μB/f.u.

CdNF3 | PBE-GGA | relaxed

Geometry as extended XYZ:
```
20
Lattice="6.384 0.000 0.000 0.000 8.450 0.000 0.000 0.000 6.119" Properties=species:S:1:pos:R:3 pbc="T T T"
Cd 0.000 0.000 0.000
Cd 0.000 4.225 0.000
Cd 3.192 0.000 3.059
Cd 3.192 4.225 3.059
N 0.801 2.113 2.325
N 2.391 6.338 5.385
N 3.993 2.113 0.734
N 5.583 6.338 3.794
F 0.160 2.113 5.690
F 1.076 0.387 2.076
F 1.076 3.838 2.076
F 2.116 4.612 5.136
F 2.116 8.063 5.136
F 3.032 6.338 2.631
F 3.352 2.113 3.488
F 4.268 0.387 0.983
F 4.268 3.838 0.983
F 5.308 4.612 4.042
F 5.308 8.063 4.042
F 6.224 6.338 0.429
```

Results
Total energy: -3.525 eV per atom
Corrected total energy (MP2020 scheme): -76.05 eV/cell
M_tot: 0.000 μB/f.u.

NdTi2CdO6F | PBE-GGA | relaxed

Geometry as extended XYZ:
```
22
Lattice="-3.596 3.728 5.114 3.596 -3.728 5.114 3.596 3.728 -5.114" Properties=species:S:1:pos:R:3 pbc="T T T"
Nd 0.000 0.000 0.000
Nd 0.000 3.728 0.000
Ti 3.596 0.000 0.000
Ti -1.798 1.864 2.557
Ti 0.000 0.000 5.114
Ti 1.798 1.864 2.557
Cd 1.798 1.864 -2.557
Cd 1.798 -1.864 2.557
O 3.596 1.864 -0.780
O 2.124 0.395 1.263
O 5.068 0.395 1.263
O 0.000 1.864 1.716
O 2.124 4.122 -1.263
O 1.472 0.395 3.851
O 2.124 3.333 1.263
O 1.472 -0.395 6.376
O 3.596 1.864 3.398
O -1.472 3.333 3.851
O 1.472 3.333 3.851
O 0.000 1.864 5.893
F 3.596 -1.864 3.810
F 0.000 5.591 1.304
```

Results
Total energy: -7.575 eV per atom
Corrected total energy (MP2020 scheme): -175.81 eV/cell
M_tot: 0.000 μB/f.u.

Cd4OF6 | PBE-GGA | relaxed

Geometry as extended XYZ:
```
22
Lattice="7.645 0.000 0.000 0.000 7.645 0.000 0.000 0.000 5.523" Properties=species:S:1:pos:R:3 pbc="T T T"
Cd 0.008 1.911 0.292
Cd 1.911 0.008 3.053
Cd 1.911 3.814 3.053
Cd 3.814 1.911 0.292
Cd 3.831 5.734 5.231
Cd 5.734 3.831 2.470
Cd 5.734 7.637 2.470
Cd 7.637 5.734 5.231
O 1.911 5.734 4.142
O 5.734 1.911 1.381
F 0.282 4.105 1.381
F 0.282 7.363 1.381
F 1.911 1.911 1.814
F 1.911 1.911 4.576
F 3.540 4.105 1.381
F 3.540 7.363 1.381
F 4.105 0.282 4.142
F 4.105 3.540 4.142
F 5.734 5.734 0.947
F 5.734 5.734 3.709
F 7.363 0.282 4.142
F 7.363 3.540 4.142
```

Results
Total energy: -3.812 eV per atom
Corrected total energy (MP2020 scheme): -90.77 eV/cell

CdOF | PBE-GGA | relaxed

Geometry as extended XYZ:
```
12
Lattice="4.058 0.000 0.000 0.000 5.774 0.000 0.000 0.000 7.282" Properties=species:S:1:pos:R:3 pbc="T T T"
Cd 0.782 0.138 2.644
Cd 1.247 5.636 6.285
Cd 2.811 2.749 4.637
Cd 3.276 3.026 0.996
O 0.607 1.253 0.668
O 1.422 4.521 4.309
O 2.636 1.634 6.614
O 3.451 4.141 2.973
F 0.694 1.542 4.602
F 1.335 4.233 0.961
F 2.723 1.346 2.680
F 3.364 4.429 6.321
```

Results
Total energy: -3.667 eV per atom
Corrected total energy (MP2020 scheme): -48.60 eV/cell
M_tot: 1.000 μB/f.u.

Sr5Cd5P6O24F2 | PBE-GGA | relaxed

Geometry as extended XYZ:
```
42
Lattice="9.655 0.000 0.000 0.000 7.076 0.000 -4.827 0.000 8.420" Properties=species:S:1:pos:R:3 pbc="T T T"
Sr 0.000 0.000 0.000
Sr -1.194 3.538 2.098
Sr 1.163 0.000 6.480
Sr 3.514 3.538 6.414
Sr 6.147 0.000 2.183
Cd -2.416 1.765 5.673
Cd -2.416 5.311 5.673
Cd 2.442 1.779 2.879
Cd 2.442 5.297 2.879
Cd -0.048 3.538 8.407
P -3.477 3.538 8.302
P -0.333 0.000 3.226
P 0.354 3.538 5.368
P 3.550 0.000 0.279
P 4.100 0.000 5.124
P 5.574 3.538 3.453
O -4.316 2.303 7.918
O -4.316 4.773 7.918
O -0.457 1.240 2.318
O -0.457 5.836 2.318
O -1.469 0.000 4.314
O -1.058 3.538 4.682
O -2.153 3.538 7.450
O -1.676 0.000 7.180
O 1.662 3.538 1.420
O 2.267 0.000 1.186
O 1.082 0.000 3.907
O 1.503 3.538 4.298
O 0.470 2.301 6.284
O 0.470 4.775 6.284
O 4.405 1.256 0.613
O 4.405 5.820 0.613
O 4.070 3.538 2.993
O 3.988 0.000 3.557
O 3.380 1.241 5.684
O 3.380 5.835 5.684
O 6.312 2.291 2.932
O 6.312 4.785 2.932
O 5.673 3.538 5.030
O 5.608 0.000 5.575
F 7.050 3.538 0.100
F 7.277 0.000 0.074
```

Results
Total energy: -6.421 eV per atom
Corrected total energy (MP2020 scheme): -287.08 eV/cell
M_tot: 0.000 μB/f.u.

CdP2Xe5F22 | PBE-GGA | relaxed

Geometry as extended XYZ:
```
120
Lattice="14.821 0.000 0.000 0.000 17.703 0.000 0.000 0.000 8.772" Properties=species:S:1:pos:R:3 pbc="T T T"
Cd 2.609 4.243 0.000
Cd 4.801 13.095 4.386
Cd 10.020 4.609 0.000
Cd 12.212 13.460 4.386
P 0.289 2.172 2.051
P 0.528 6.603 6.346
P 6.883 15.455 1.960
P 7.122 11.024 6.437
P 7.699 6.679 2.051
P 7.938 2.249 6.346
P 14.293 11.100 1.960
P 14.532 15.531 6.437
Xe 0.154 15.491 2.091
Xe 0.239 11.170 6.424
Xe 3.154 9.470 3.880
Xe 3.446 16.894 4.431
Xe 3.578 13.218 8.513
Xe 3.833 4.367 4.128
Xe 3.965 8.042 0.045
Xe 4.256 0.619 8.266
Xe 7.172 2.318 2.039
Xe 7.256 6.640 6.477
Xe 7.565 11.064 2.091
Xe 7.649 15.385 6.424
Xe 10.565 17.085 3.880
Xe 10.856 9.661 4.431
Xe 10.988 13.337 8.513
Xe 11.243 4.485 4.128
Xe 11.375 0.810 0.045
Xe 11.667 8.233 8.266
Xe 14.582 6.533 2.039
Xe 14.667 2.212 6.477
F 0.139 7.772 5.280
F 0.257 14.438 5.336
F 0.299 3.336 3.192
F 0.302 7.625 7.603
F 0.340 1.033 0.884
F 0.774 5.527 5.147
F 0.926 1.116 3.114
F 0.932 5.382 7.469
F 1.021 11.577 2.069
F 1.222 15.957 6.831
F 1.651 5.759 1.438
F 1.719 2.601 7.420
F 1.871 2.630 1.626
F 1.949 15.911 1.218
F 2.031 10.392 7.018
F 2.100 7.030 6.289
F 3.092 7.501 3.346
F 3.127 11.538 4.367
F 3.349 13.356 6.427
F 3.391 14.830 3.924
F 3.429 1.153 4.997
F 3.680 4.218 6.179
F 3.731 13.070 1.793
F 3.981 10.005 0.611
F 4.019 5.978 8.310
F 4.062 4.505 2.041
F 4.284 2.686 8.753
F 4.318 16.353 7.732
F 5.311 15.881 1.903
F 5.379 1.540 2.632
F 5.462 7.059 5.604
F 5.539 11.481 6.012
F 5.691 11.452 3.034
F 5.759 14.611 5.824
F 6.188 7.105 2.445
F 6.390 2.725 6.455
F 6.478 14.233 3.084
F 6.485 9.968 7.500
F 6.636 14.379 0.761
F 7.071 9.884 5.270
F 7.112 12.188 7.578
F 7.108 16.477 3.217
F 7.153 5.586 0.950
F 7.271 16.624 0.895
F 7.550 1.080 5.280
F 7.668 12.117 5.336
F 7.713 1.227 7.603
F 7.709 5.516 3.192
F 7.750 7.819 0.884
F 8.185 3.324 5.147
F 8.336 7.736 3.114
F 8.343 3.470 7.469
F 8.431 14.978 2.069
F 8.633 10.598 6.831
F 9.062 3.092 1.438
F 9.130 6.251 7.420
F 9.282 6.222 1.626
F 9.359 10.644 1.218
F 9.442 16.163 7.018
F 9.510 1.822 6.289
F 10.503 1.351 3.346
F 10.537 15.017 4.367
F 10.759 13.199 6.427
F 10.802 11.726 3.924
F 10.840 7.698 4.997
F 11.090 4.634 6.179
F 11.141 13.486 1.793
F 11.392 16.550 0.611
F 11.430 2.874 8.310
F 11.472 4.347 2.041
F 11.694 6.166 8.753
F 11.729 10.202 7.732
F 12.721 10.674 1.903
F 12.790 7.311 2.632
F 12.872 1.792 5.604
F 12.950 15.074 6.012
F 13.102 15.103 3.034
F 13.170 11.944 5.824
F 13.599 1.746 2.445
F 13.800 6.127 6.455
F 13.889 12.322 3.084
F 13.896 16.587 7.500
F 14.047 12.176 0.761
F 14.481 16.671 5.270
F 14.519 10.079 3.217
F 14.522 14.367 7.578
F 14.564 3.265 0.950
F 14.682 9.931 0.895
```

Results
Total energy: -3.284 eV per atom
Corrected total energy (MP2020 scheme): -434.69 eV/cell
M_tot: 0.027 μB/f.u.